No. 1
Entry from the Materials Project database: a relaxed MnF4 crystal (PBE+U).

The calculation puts the formation enthalpy at 0 K at -2329 meV per atom. The total magnetic moment is 0.600 μB per atom.

The space group is R-3c (No. 167, hexagonal axes) and the conventional cell measures 9.9439, 9.9439 and 13.1628 Å, with angles of 90.00, 90.00 and 120.00 degrees. The inequivalent atoms are Mn at (0.0000, 0.5000, 0.0000), F at (0.0000, 0.1867, 0.2500), F at (0.0000, 0.3124, 0.7500) and F at (0.0326, 0.1797, 0.9100).

No. 2
Entry from the Materials Project database: a relaxed MnF3 crystal (PBE+U).

The calculation puts the formation enthalpy at 0 K at -2722 meV per atom. The total magnetic moment is 1.000 μB per atom.

The space group is P4_2/mnm (No. 136) and the conventional cell measures 5.000, 5.000 and 8.776 Å, with angles of 90.00, 90.00 and 90.00 degrees. The inequivalent atoms are Mn at (0.000, 0.000, 0.174), F at (0.173, 0.173, 0.000) and F at (0.199, 0.199, 0.314).

No. 3
Entry from the Materials Project database: a relaxed MnF2 crystal (PBE+U).

The calculation puts the formation enthalpy at 0 K at -2966 meV per atom.

The space group is P4_2/mnm (No. 136) and the conventional cell measures 4.962, 4.962 and 3.348 Å, with angles of 90.00, 90.00 and 90.00 degrees. The inequivalent atoms are Mn at (0.000, 0.000, 0.000) and F at (0.195, 0.195, 0.500).

No. 4
Entry from the Materials Project database: a relaxed MnF3 crystal (PBE+U).

The calculation puts the formation enthalpy at 0 K at -2673 meV per atom. The total magnetic moment is 1.000 μB per atom.

The space group is C2/m (No. 12) and the conventional cell measures 5.587, 8.871 and 4.772 Å, with angles of 90.00, 90.83 and 90.00 degrees. The inequivalent atoms are Mn at (0.000, 0.170, 0.000), F at (0.120, 0.000, 0.218) and F at (0.164, 0.314, 0.216).

No. 5
Entry from the Materials Project database: a relaxed MnF2 crystal (PBE+U).

The calculation puts the formation enthalpy at 0 K at -2957 meV per atom.

The space group is Pbcn (No. 60) and the conventional cell measures 5.019, 5.937 and 5.463 Å, with angles of 90.00, 90.00 and 90.00 degrees. The inequivalent atoms are Mn at (0.000, 0.168, 0.250) and F at (0.227, 0.109, 0.580).

No. 6
Entry from the Materials Project database: a relaxed MnF2 crystal (PBE+U).

The calculation puts the formation enthalpy at 0 K at -2912 meV per atom. The calculation puts the piezoelectric modulus e_max at 1.5 C/m2. The total magnetic moment is 1.667 μB per atom.

The space group is P-42m (No. 111) and the conventional cell measures 5.284, 5.284 and 5.260 Å, with angles of 90.00, 90.00 and 90.00 degrees. The inequivalent atoms are Mn at (0.000, 0.000, 0.000), Mn at (0.000, 0.500, 0.500), Mn at (0.500, 0.500, 0.000), F at (0.218, 0.218, 0.731) and F at (0.277, 0.277, 0.240).